Record 1
Ca8Ti3Mn5O21 | PBE+U | optimized geometry

```
37
Lattice="7.807 0.000 0.000 0.000 7.823 0.000 -0.023 0.000 7.880" Properties=species:S:1:pos:R:3 pbc="T T T"
Ca 0.000 1.635 0.000
Ca 0.000 6.188 0.000
Ca 3.506 1.687 0.305
Ca 3.506 6.136 0.305
Ca 4.012 1.963 4.478
Ca 4.012 5.860 4.478
Ca 7.645 1.829 4.320
Ca 7.645 5.994 4.320
Ti 1.915 3.912 2.200
Ti 5.979 3.912 6.400
Ti 6.212 3.912 2.185
Mn 1.790 0.000 2.206
Mn 1.911 0.000 6.056
Mn 2.047 3.912 5.943
Mn 5.754 0.000 2.369
Mn 5.783 0.000 6.252
O 0.087 3.912 2.852
O 1.609 0.000 0.177
O 1.780 1.939 2.091
O 1.780 5.884 2.091
O 1.923 1.897 5.811
O 1.923 5.926 5.811
O 2.649 3.912 0.426
O 2.930 3.912 3.644
O 3.776 0.000 1.956
O 3.817 0.000 6.490
O 4.229 3.912 5.850
O 5.391 0.000 4.269
O 5.563 2.344 2.767
O 5.563 5.480 2.767
O 5.920 1.944 6.273
O 5.920 5.879 6.273
O 6.235 0.000 0.446
O 6.530 3.912 0.348
O 7.629 3.912 5.557
O 7.759 0.000 2.844
O 7.774 0.000 5.881
```

Properties
ΔE to the lowest computed polymorph: 0.0287 eV/atom
uncorrected energy: -7.4096 eV/atom
formation energy: -2905 meV per atom
SG: Pm
M_tot: 21.00 μB per formula unit

Record 2
LiMnNbO4 | PBE+U | optimized geometry

```
28
Lattice="6.280 0.000 0.000 0.000 6.288 0.000 0.000 0.000 8.637" Properties=species:S:1:pos:R:3 pbc="T T T"
Li 0.000 1.400 2.159
Li 0.000 4.889 6.478
Li 1.397 0.000 4.319
Li 4.883 0.000 0.000
Mn 1.608 1.608 7.551
Mn 1.608 4.680 1.086
Mn 4.672 1.608 5.405
Mn 4.672 4.680 3.232
Nb 1.376 3.144 4.319
Nb 3.140 1.379 2.159
Nb 3.140 4.909 6.478
Nb 4.904 3.144 0.000
O 0.169 1.670 4.347
O 0.169 4.618 4.290
O 1.667 0.171 2.131
O 1.667 6.117 6.506
O 1.688 3.032 2.328
O 1.688 3.257 6.309
O 3.029 1.690 4.150
O 3.029 4.598 4.487
O 3.251 1.690 0.168
O 3.251 4.598 8.469
O 4.592 3.032 1.991
O 4.592 3.257 6.647
O 4.613 0.171 2.187
O 4.613 6.117 6.450
O 6.111 1.670 8.609
O 6.111 4.618 0.028
```

Properties
ΔE to the lowest computed polymorph: 0.0000 eV/atom
uncorrected energy: -7.8809 eV/atom
formation energy: -2660 meV per atom
SG: P222_1
maximum piezoelectric response: 0.1 C/m2
M_tot: 0.00 μB per formula unit

Record 3
MnH4Cl2O2 | PBE+U | optimized geometry

```
9
Lattice="3.847 -4.425 0.000 3.847 4.425 0.000 -0.799 0.000 3.662" Properties=species:S:1:pos:R:3 pbc="T T T"
Mn 0.000 0.000 0.000
H 2.479 1.677 3.113
H 4.416 1.677 0.549
H 2.479 -1.677 3.113
H 4.416 -1.677 0.549
Cl 1.362 0.000 2.166
Cl 5.533 0.000 1.496
O 3.847 2.266 0.000
O 3.847 -2.266 0.000
```

Properties
uncorrected energy: -4.9899 eV/atom
formation energy: -1292 meV per atom
SG: C2/m
M_tot: 5.00 μB per formula unit

Record 4
Li4V3P8O29 | PBE+U | optimized geometry

```
88
Lattice="8.494 -4.856 0.000 8.494 4.856 0.000 -0.364 0.000 14.366" Properties=species:S:1:pos:R:3 pbc="T T T"
Li 8.312 4.302 7.183
Li 2.747 0.598 7.867
Li 2.929 -0.598 0.684
Li 9.061 2.229 13.321
Li 13.890 0.686 13.300
Li 9.243 -2.229 6.138
Li 14.072 -0.686 6.117
Li 8.494 -4.302 0.000
V 3.536 2.135 10.679
V 4.865 2.719 3.304
V 3.718 -2.135 3.496
V 8.348 0.594 10.618
V 8.530 -0.594 3.435
V 4.683 -2.719 10.487
P 6.485 2.997 11.814
P 2.752 0.676 4.770
P 7.822 2.373 4.627
P 2.570 -0.676 11.953
P 10.199 2.975 9.385
P 9.297 2.274 2.046
P 5.498 0.057 8.952
P 5.680 -0.057 1.769
P 11.211 0.061 12.274
P 11.392 -0.061 5.090
P 6.667 -2.997 4.631
P 7.640 -2.373 11.810
P 14.369 0.707 2.024
P 9.115 -2.274 9.229
P 10.380 -2.975 2.202
P 14.187 -0.707 9.207
O 1.739 1.032 3.576
O 1.727 0.934 1.058
O 2.097 1.084 6.059
O 6.700 3.740 10.386
O 5.115 2.248 11.684
O 6.312 2.800 4.592
O 2.793 0.858 11.868
O 4.072 1.415 4.477
O 4.211 0.686 9.636
O 5.716 1.440 2.341
O 8.425 2.943 3.233
O 1.545 -0.934 8.241
O 8.509 2.975 5.788
O 1.557 -1.032 10.759
O 8.779 2.730 0.724
O 1.915 -1.084 13.242
O 7.633 1.968 11.892
O 2.975 -0.858 4.685
O 5.323 0.090 7.480
O 4.393 -0.686 2.453
O 5.505 -0.090 0.297
O 6.727 0.731 9.571
O 10.755 2.845 2.246
O 9.087 1.918 9.459
O 7.892 0.822 4.514
O 3.890 -1.415 11.660
O 11.588 2.276 9.459
O 9.313 0.767 2.286
O 6.909 -0.731 2.388
O 5.534 -1.440 9.524
O 9.923 0.799 11.821
O 11.358 1.385 4.417
O 5.297 -2.248 4.501
O 7.710 -0.822 11.697
O 13.054 1.479 2.264
O 9.131 -0.767 9.469
O 6.131 -2.800 11.775
O 7.815 -1.968 4.709
O 12.450 0.752 11.584
O 10.104 -0.799 4.638
O 11.425 0.031 13.744
O 11.607 -0.031 6.561
O 9.269 -1.918 2.276
O 13.915 0.820 9.401
O 15.048 0.956 0.717
O 6.882 -3.740 3.203
O 8.598 -2.730 7.907
O 8.243 -2.943 10.416
O 15.203 0.860 5.728
O 8.327 -2.975 12.971
O 11.176 -1.385 11.601
O 12.631 -0.752 4.401
O 14.097 -0.820 2.218
O 12.872 -1.479 9.447
O 10.573 -2.845 9.429
O 11.770 -2.276 2.276
O 14.866 -0.956 7.900
O 15.021 -0.860 12.911
```

Properties
ΔE to the lowest computed polymorph: 0.0025 eV/atom
uncorrected energy: -7.0505 eV/atom
formation energy: -2581 meV per atom
SG: Cc
M_tot: 1.00 μB per formula unit

Record 5
Li9Mn2Co5O16 | PBE+U | optimized geometry

```
32
Lattice="5.185 0.000 0.000 -1.957 5.573 0.000 -0.969 -2.977 9.775" Properties=species:S:1:pos:R:3 pbc="T T T"
Li 0.000 0.000 0.000
Li 4.217 -0.152 4.945
Li -0.967 1.334 2.434
Li -1.928 4.080 2.453
Li -0.924 -1.593 7.272
Li -1.942 2.720 4.947
Li 1.618 -0.848 6.102
Li 3.233 1.214 7.254
Li 3.241 -0.228 9.771
Mn 1.623 0.587 3.697
Mn 0.685 0.484 8.544
Co 0.606 3.408 3.702
Co 1.637 -2.288 8.515
Co 1.625 2.043 1.218
Co 0.644 4.833 1.221
Co 0.658 1.927 6.115
O 0.844 -1.061 4.221
O -0.124 -1.138 9.233
O 0.861 0.400 1.859
O -1.057 2.995 6.842
O -0.093 0.312 6.799
O -0.064 3.197 1.909
O 0.038 1.619 4.264
O -0.909 1.523 9.180
O 3.197 -0.416 3.060
O 2.237 -0.517 8.039
O 1.373 3.546 5.420
O 3.317 0.888 0.542
O 2.374 2.258 2.958
O 2.381 3.710 0.579
O 1.436 2.148 7.907
O 2.416 0.891 5.364
```

Properties
ΔE to the lowest computed polymorph: 0.0319 eV/atom
uncorrected energy: -5.8227 eV/atom
formation energy: -1832 meV per atom
SG: P1
M_tot: 14.00 μB per formula unit

Record 6
NiH12SO10 | PBE+U | optimized geometry

```
96
Lattice="6.806 0.000 0.000 0.000 6.806 0.000 0.000 0.000 18.336" Properties=species:S:1:pos:R:3 pbc="T T T"
Ni 1.437 1.437 0.000
Ni 1.966 4.840 13.752
Ni 4.840 1.966 4.584
Ni 5.369 5.369 9.168
H 0.094 3.638 7.958
H 0.114 4.968 7.031
H 0.234 3.309 12.541
H 0.239 0.852 5.659
H 0.460 2.440 5.440
H 0.516 5.795 17.606
H 0.574 5.097 10.924
H 0.852 0.239 12.677
H 0.963 3.863 0.856
H 1.011 6.290 9.898
H 1.565 3.289 11.615
H 1.694 2.829 15.508
H 1.709 6.232 16.580
H 1.838 6.692 2.136
H 2.392 2.887 3.854
H 2.440 0.460 12.896
H 2.551 3.643 1.075
H 2.829 1.694 2.828
H 2.887 2.392 14.482
H 2.944 5.844 8.312
H 3.164 4.255 8.093
H 3.169 6.712 1.210
H 3.289 1.565 6.720
H 3.309 0.234 5.794
H 3.498 6.572 14.962
H 3.518 5.242 15.888
H 3.638 0.094 10.378
H 3.643 2.551 17.261
H 3.863 0.963 17.480
H 3.919 4.414 5.314
H 3.977 5.112 11.996
H 4.255 3.164 10.243
H 4.366 6.347 3.728
H 4.414 3.919 13.022
H 4.968 0.114 11.304
H 5.097 0.574 7.412
H 5.112 3.977 6.340
H 5.242 3.518 2.448
H 5.795 0.516 0.730
H 5.844 2.944 10.024
H 5.954 6.567 3.509
H 6.232 1.709 1.756
H 6.290 1.011 8.438
H 6.347 4.366 14.608
H 6.567 5.954 14.827
H 6.572 3.498 3.374
H 6.692 1.838 16.199
H 6.712 3.169 17.125
S 1.421 5.386 4.584
S 1.982 1.982 9.168
S 4.824 4.824 0.000
S 5.386 1.421 13.752
O 0.202 5.066 14.801
O 0.318 5.627 10.134
O 0.456 2.434 16.760
O 0.505 2.230 9.153
O 0.814 5.990 3.362
O 0.816 5.992 5.806
O 0.969 3.859 12.176
O 1.173 3.908 4.569
O 1.179 6.488 17.370
O 1.663 3.201 1.049
O 1.741 6.605 12.702
O 2.224 3.085 14.718
O 2.230 0.505 9.183
O 2.434 0.456 1.575
O 2.587 2.589 7.946
O 2.589 2.587 10.389
O 2.898 5.633 4.599
O 2.947 5.838 15.327
O 3.085 2.224 3.618
O 3.201 1.663 17.286
O 3.605 5.144 8.118
O 3.721 4.582 12.786
O 3.859 0.969 6.159
O 3.908 1.173 13.767
O 4.218 4.220 1.222
O 4.220 4.218 17.114
O 4.372 6.350 10.743
O 4.577 6.301 0.015
O 4.582 3.721 5.550
O 5.066 0.202 3.535
O 5.144 3.605 10.217
O 5.627 0.318 8.202
O 5.633 2.898 13.737
O 5.838 2.947 3.009
O 5.992 0.816 12.530
O 5.990 0.814 14.973
O 6.301 4.577 18.321
O 6.350 4.372 7.593
O 6.488 1.179 0.966
O 6.605 1.741 5.633
```

Properties
uncorrected energy: -5.1724 eV/atom
formation energy: -1393 meV per atom
SG: P4_32_12
M_tot: 2.00 μB per formula unit

Record 7
Li9Cr4B8O24 | PBE+U | optimized geometry

```
45
Lattice="6.017 0.000 0.000 -0.020 8.946 0.000 -0.019 -3.806 8.674" Properties=species:S:1:pos:R:3 pbc="T T T"
Li 0.000 0.000 0.000
Li -0.015 3.126 3.713
Li 0.206 1.031 8.164
Li 2.003 -1.575 5.839
Li 2.825 4.898 4.425
Li 2.946 6.756 0.240
Li 3.968 0.352 1.476
Li 4.884 2.877 7.243
Li 5.930 7.005 4.329
Cr 1.232 0.264 2.529
Cr 1.677 2.705 6.338
Cr 4.303 4.625 1.996
Cr 4.716 -1.672 6.863
B 0.148 2.638 0.798
B 0.548 4.851 6.100
B 2.394 7.083 2.767
B 2.795 0.330 8.119
B 3.179 2.272 3.762
B 3.519 5.156 7.094
B 5.420 6.751 1.732
B 5.822 0.727 5.161
O 0.014 1.649 6.203
O 0.227 6.163 6.069
O 0.261 1.152 3.892
O 0.478 4.039 7.247
O 0.679 1.401 1.118
O 1.096 4.122 5.038
O 1.712 -1.247 3.803
O 2.085 1.512 7.907
O 2.502 7.962 1.665
O 2.817 2.013 5.102
O 2.837 5.811 2.745
O 2.874 1.356 2.807
O 3.089 -0.571 7.162
O 3.167 3.895 0.778
O 3.176 3.815 7.152
O 3.366 5.950 5.971
O 3.895 3.440 3.576
O 4.219 -3.185 8.146
O 4.916 6.058 0.601
O 5.245 -0.472 5.347
O 5.428 5.959 2.861
O 5.720 8.085 1.731
O 5.856 3.518 1.812
O 5.900 -0.814 8.175
```

Properties
ΔE to the lowest computed polymorph: 0.0000 eV/atom
uncorrected energy: -7.0258 eV/atom
formation energy: -2504 meV per atom
SG: P1
M_tot: 9.00 μB per formula unit

Record 8
Li2NiBiO4 | PBE+U | optimized geometry

```
16
Lattice="5.240 -0.810 -1.288 -0.887 -1.445 5.185 -1.357 -5.826 -1.856" Properties=species:S:1:pos:R:3 pbc="T T T"
O 2.355 -6.794 -1.531
O 0.652 -2.031 0.613
O -0.717 -7.113 1.716
O 3.025 -3.882 -0.593
O 3.023 -3.138 2.356
O 2.149 -6.071 1.634
O -0.029 -4.199 2.634
O 0.168 -4.923 -0.521
Li -0.679 -2.913 -0.928
Li 2.281 -1.862 -1.108
Li 0.819 -6.954 0.092
Li -1.461 -5.092 1.201
Ni 4.457 -2.990 0.840
Ni 0.715 -6.221 3.149
Bi -1.357 -5.826 -1.856
Bi 1.498 -4.041 1.021
```

Properties
ΔE to the lowest computed polymorph: 0.0000 eV/atom
uncorrected energy: -5.1652 eV/atom
formation energy: -1666 meV per atom
M_tot: 0.00 μB per formula unit

Record 9
SmFeAsO | PBE+U | optimized geometry

```
8
Lattice="4.026 0.000 0.000 0.000 4.026 0.000 0.000 0.000 9.047" Properties=species:S:1:pos:R:3 pbc="T T T"
Sm 1.007 1.007 1.137
Sm 3.020 3.020 7.909
Fe 1.007 3.020 4.523
Fe 3.020 1.007 4.523
As 1.007 1.007 6.140
As 3.020 3.020 2.907
O 1.007 3.020 0.000
O 3.020 1.007 0.000
```

Properties
uncorrected energy: -6.6303 eV/atom
formation energy: -1667 meV per atom
SG: P4/nmm
M_tot: 3.81 μB per formula unit